A plane-wave DFT calculation with GGA+U was carried out for a geometry-optimized Mn2VFe3P6O24 structure.

## Properties
Space-group type   R3 (146)
Calculated volume   12.642 Å³/atom
E_tot   -7.3142 eV/atom
Formation energy   -2432 meV per atom
Theoretical density   3.3 g/cm³

CIF file:
```
data_Mn2VFe3P6O24
_space_group_name_H-M_alt 'P 1'
_space_group_IT_number 1
_cell_length_a 8.626
_cell_length_b 8.626
_cell_length_c 8.626
_cell_angle_alpha 60.13
_cell_angle_beta 60.13
_cell_angle_gamma 60.13
loop_
_space_group_symop_operation_xyz
'x,y,z'
loop_
_atom_site_label
_atom_site_fract_x
_atom_site_fract_y
_atom_site_fract_z
Mn1 0.499 0.499 0.499
Mn2 0.998 0.998 0.998
O1 0.012 0.185 0.375
O2 0.185 0.375 0.012
O3 0.734 0.942 0.087
O4 0.592 0.435 0.238
O5 0.611 0.004 0.817
O6 0.238 0.592 0.435
O7 0.765 0.412 0.548
O8 0.066 0.920 0.258
O9 0.942 0.087 0.734
O10 0.817 0.611 0.004
O11 0.501 0.113 0.316
O12 0.113 0.316 0.501
O13 0.700 0.485 0.883
O14 0.375 0.012 0.185
O15 0.087 0.734 0.942
O16 0.316 0.501 0.113
O17 0.485 0.883 0.700
O18 0.548 0.765 0.412
O19 0.004 0.817 0.611
O20 0.883 0.700 0.485
O21 0.920 0.258 0.066
O22 0.435 0.238 0.592
O23 0.258 0.066 0.920
O24 0.412 0.548 0.765
P1 0.544 0.957 0.252
P2 0.752 0.456 0.044
P3 0.957 0.252 0.544
P4 0.044 0.752 0.456
P5 0.456 0.044 0.752
P6 0.252 0.544 0.957
V1 0.145 0.145 0.145
Fe1 0.854 0.854 0.854
Fe2 0.645 0.645 0.645
Fe3 0.356 0.356 0.356
```

***

A plane-wave DFT calculation with GGA+U was carried out for a geometry-optimized Mn2V3FeP6O24 structure.

## Properties
Space-group type   R3 (146)
Calculated volume   12.650 Å³/atom
E_tot   -7.5142 eV/atom
Formation energy   -2567 meV per atom
Theoretical density   3.2 g/cm³

CIF file:
```
data_Mn2V3FeP6O24
_space_group_name_H-M_alt 'P 1'
_space_group_IT_number 1
_cell_length_a 8.633
_cell_length_b 8.633
_cell_length_c 8.633
_cell_angle_alpha 60.04
_cell_angle_beta 60.04
_cell_angle_gamma 60.04
loop_
_space_group_symop_operation_xyz
'x,y,z'
loop_
_atom_site_label
_atom_site_fract_x
_atom_site_fract_y
_atom_site_fract_z
O1 0.236 0.437 0.584
O2 0.381 0.194 0.996
O3 0.584 0.236 0.437
O4 0.616 0.806 0.010
O5 0.194 0.996 0.381
O6 0.734 0.088 0.946
O7 0.437 0.584 0.236
O8 0.314 0.119 0.499
O9 0.881 0.494 0.693
O10 0.914 0.060 0.262
O11 0.088 0.946 0.734
O12 0.060 0.262 0.914
O13 0.010 0.616 0.806
O14 0.946 0.734 0.088
O15 0.262 0.914 0.060
O16 0.557 0.416 0.765
O17 0.499 0.314 0.119
O18 0.765 0.557 0.416
O19 0.693 0.881 0.494
O20 0.494 0.693 0.881
O21 0.119 0.499 0.314
O22 0.806 0.010 0.616
O23 0.996 0.381 0.194
O24 0.416 0.765 0.557
P1 0.251 0.959 0.541
P2 0.541 0.251 0.959
P3 0.959 0.541 0.251
P4 0.042 0.457 0.750
P5 0.457 0.750 0.042
P6 0.750 0.042 0.457
Mn1 0.999 0.999 0.999
Mn2 0.500 0.500 0.500
V1 0.644 0.644 0.644
V2 0.356 0.356 0.356
V3 0.144 0.144 0.144
Fe1 0.855 0.855 0.855
```

***

A plane-wave DFT calculation with GGA+U was carried out for a geometry-optimized Mn3VFe2P6O24 structure.

## Properties
Space-group type   R3 (146)
Calculated volume   12.441 Å³/atom
E_tot   -7.3050 eV/atom
Formation energy   -2387 meV per atom
Theoretical density   3.3 g/cm³

CIF file:
```
data_Mn3VFe2P6O24
_space_group_name_H-M_alt 'P 1'
_space_group_IT_number 1
_cell_length_a 8.536
_cell_length_b 8.536
_cell_length_c 8.536
_cell_angle_alpha 60.82
_cell_angle_beta 60.82
_cell_angle_gamma 60.82
loop_
_space_group_symop_operation_xyz
'x,y,z'
loop_
_atom_site_label
_atom_site_fract_x
_atom_site_fract_y
_atom_site_fract_z
O1 0.183 0.381 0.002
O2 0.618 0.010 0.808
O3 0.086 0.739 0.943
O4 0.114 0.310 0.511
O5 0.410 0.551 0.761
O6 0.943 0.086 0.739
O7 0.551 0.761 0.410
O8 0.441 0.241 0.590
O9 0.887 0.690 0.487
O10 0.010 0.808 0.618
O11 0.739 0.943 0.086
O12 0.241 0.590 0.441
O13 0.761 0.410 0.551
O14 0.002 0.183 0.381
O15 0.261 0.063 0.914
O16 0.063 0.914 0.261
O17 0.487 0.887 0.690
O18 0.381 0.002 0.183
O19 0.590 0.441 0.241
O20 0.690 0.487 0.887
O21 0.310 0.511 0.114
O22 0.511 0.114 0.310
O23 0.808 0.618 0.010
O24 0.914 0.261 0.063
P1 0.542 0.957 0.249
P2 0.749 0.459 0.043
P3 0.043 0.749 0.459
P4 0.957 0.249 0.542
P5 0.459 0.043 0.749
P6 0.249 0.542 0.957
Fe1 0.000 0.000 0.000
Fe2 0.499 0.499 0.499
V1 0.143 0.143 0.143
Mn1 0.857 0.857 0.857
Mn2 0.357 0.357 0.357
Mn3 0.643 0.643 0.643
```

***

A plane-wave DFT calculation with GGA+U was carried out for a geometry-optimized MnV4FePb4O18 structure.

## Properties
Space-group type   P-1 (2)
Calculated volume   14.352 Å³/atom
E_tot   -6.8016 eV/atom
Formation energy   -1988 meV per atom
Theoretical density   5.9 g/cm³

CIF file:
```
data_MnV4FePb4O18
_space_group_name_H-M_alt 'P 1'
_space_group_IT_number 1
_cell_length_a 6.076
_cell_length_b 7.988
_cell_length_c 8.977
_cell_angle_alpha 112.70
_cell_angle_beta 89.80
_cell_angle_gamma 89.08
loop_
_space_group_symop_operation_xyz
'x,y,z'
loop_
_atom_site_label
_atom_site_fract_x
_atom_site_fract_y
_atom_site_fract_z
Pb1 0.751 0.717 0.255
Pb2 0.754 0.317 0.388
Pb3 0.246 0.683 0.612
Pb4 0.249 0.283 0.745
O1 0.993 0.014 0.787
O2 0.018 0.502 0.296
O3 0.490 0.979 0.207
O4 0.737 0.815 0.932
O5 0.982 0.498 0.704
O6 0.752 0.736 0.546
O7 0.510 0.021 0.793
O8 0.254 0.919 0.457
O9 0.746 0.081 0.543
O10 0.749 0.475 0.964
O11 0.248 0.264 0.454
O12 0.750 0.155 0.075
O13 0.486 0.509 0.298
O14 0.263 0.185 0.068
O15 0.250 0.845 0.925
O16 0.007 0.986 0.213
O17 0.251 0.525 0.036
O18 0.514 0.491 0.702
Fe1 0.000 0.000 0.000
Mn1 0.500 0.000 0.000
V1 0.744 0.567 0.825
V2 0.256 0.433 0.175
V3 0.750 0.965 0.665
V4 0.250 0.035 0.335
```